## CsCr2S4 (meta-GGA r2SCAN)

Data for crystalline CsCr2S4 at its relaxed geometry.

a = 5.968 Å, b = 6.892 Å, c = 16.728 Å
α = 90.00°, β = 90.00°, γ = 90.00°
Atoms (fractional coordinates):
1 S 0.660 0.500 0.170
2 S 0.834 0.750 0.670
3 Cs 0.033 0.000 0.500
4 Cr 0.500 0.750 0.250
5 S 0.166 0.750 0.830
6 Cr 0.006 0.000 0.749
7 Cr 0.006 0.000 0.251
8 Cs 0.363 0.000 0.000
9 S 0.834 0.250 0.330
10 Cr 0.500 0.750 0.750
11 Cr 0.994 0.500 0.751
12 S 0.327 0.500 0.671
13 S 0.834 0.750 0.330
14 S 0.166 0.750 0.170
15 S 0.834 0.250 0.670
16 S 0.673 0.000 0.829
17 S 0.340 0.000 0.330
18 Cs 0.967 0.500 0.000
19 S 0.340 0.000 0.670
20 Cs 0.637 0.500 0.500
21 Cr 0.994 0.500 0.249
22 S 0.327 0.500 0.329
23 Cr 0.500 0.250 0.750
24 S 0.166 0.250 0.170
25 S 0.166 0.250 0.830
26 S 0.660 0.500 0.830
27 Cr 0.500 0.250 0.250
28 S 0.673 0.000 0.171

Output
SG: Pmmn (59)

---

## Cr8Cu3NiS16 (meta-GGA r2SCAN)

Data for crystalline Cr8Cu3NiS16 at its relaxed geometry.

a = 12.043 Å, b = 12.043 Å, c = 12.043 Å
α = 33.52°, β = 33.52°, γ = 33.52°
Atoms (fractional coordinates):
1 S 0.134 0.134 0.610
2 Cu 0.063 0.063 0.063
3 S 0.107 0.636 0.636
4 S 0.894 0.364 0.364
5 Cr 0.001 0.499 0.001
6 S 0.636 0.107 0.636
7 Cr 0.250 0.250 0.250
8 S 0.629 0.629 0.629
9 S 0.134 0.610 0.134
10 Cr 0.501 0.998 0.501
11 S 0.364 0.364 0.894
12 S 0.864 0.393 0.864
13 S 0.393 0.864 0.864
14 Cu 0.438 0.438 0.438
15 S 0.636 0.636 0.107
16 S 0.129 0.129 0.129
17 Cr 0.998 0.501 0.501
18 Cr 0.001 0.001 0.499
19 Cu 0.562 0.562 0.562
20 Cr 0.499 0.001 0.001
21 S 0.872 0.872 0.872
22 Cr 0.501 0.501 0.998
23 Cr 0.750 0.750 0.750
24 S 0.864 0.864 0.393
25 S 0.610 0.134 0.134
26 S 0.371 0.371 0.371
27 S 0.364 0.894 0.364
28 Ni 0.937 0.937 0.937

Output
SG: R3m (160)

---

## Sr2YCrCu2O8 (meta-GGA r2SCAN)

Data for crystalline Sr2YCrCu2O8 at its relaxed geometry.

a = 3.867 Å, b = 3.867 Å, c = 10.972 Å
α = 90.00°, β = 90.00°, γ = 90.48°
Atoms (fractional coordinates):
1 Cu 0.003 0.997 0.855
2 O 0.983 0.017 0.342
3 O 0.498 0.984 0.500
4 O 0.002 0.498 0.870
5 Sr 0.517 0.483 0.678
6 Sr 0.517 0.483 0.322
7 O 0.502 0.998 0.870
8 O 0.983 0.017 0.658
9 Y 0.502 0.498 0.000
10 O 0.502 0.998 0.130
11 O 0.016 0.502 0.500
12 O 0.002 0.498 0.130
13 Cr 0.045 0.955 0.500
14 Cu 0.003 0.997 0.145

Output
SG: Amm2 (38)

---

## DyCrO4 (meta-GGA r2SCAN)

Data for crystalline DyCrO4 at its relaxed geometry.

a = 5.916 Å, b = 5.916 Å, c = 5.916 Å
α = 106.17°, β = 106.17°, γ = 116.30°
Atoms (fractional coordinates):
1 O 0.865 0.299 0.566
2 O 0.701 0.767 0.566
3 O 0.299 0.233 0.434
4 Dy 0.625 0.375 0.250
5 O 0.299 0.865 0.066
6 O 0.767 0.701 0.066
7 Cr 0.875 0.125 0.750
8 Dy 0.375 0.625 0.750
9 Cr 0.125 0.875 0.250
10 O 0.233 0.299 0.934
11 O 0.701 0.135 0.934
12 O 0.135 0.701 0.434

Output
SG: I4_1/amd (141)

---

## DyCrO3 (meta-GGA r2SCAN)

Data for crystalline DyCrO3 at its relaxed geometry.

a = 5.235 Å, b = 5.536 Å, c = 7.541 Å
α = 90.00°, β = 90.00°, γ = 90.00°
Atoms (fractional coordinates):
1 O 0.307 0.697 0.556
2 O 0.693 0.303 0.056
3 Cr 0.500 0.000 0.500
4 O 0.891 0.537 0.750
5 O 0.807 0.803 0.444
6 O 0.807 0.803 0.056
7 O 0.193 0.197 0.944
8 O 0.109 0.463 0.250
9 Dy 0.981 0.068 0.250
10 Dy 0.481 0.432 0.750
11 Cr 0.500 0.000 0.000
12 Cr 0.000 0.500 0.000
13 O 0.693 0.303 0.444
14 O 0.391 0.963 0.250
15 O 0.307 0.697 0.944
16 Dy 0.019 0.932 0.750
17 O 0.609 0.037 0.750
18 Dy 0.519 0.568 0.250
19 O 0.193 0.197 0.556
20 Cr 0.000 0.500 0.500

Output
SG: Pnma (62)

---

## DyCrTeO6 (meta-GGA r2SCAN)

Data for crystalline DyCrTeO6 at its relaxed geometry.

a = 5.117 Å, b = 5.117 Å, c = 9.696 Å
α = 90.00°, β = 90.00°, γ = 120.00°
Atoms (fractional coordinates):
1 O 0.366 0.357 0.140
2 O 0.357 0.366 0.640
3 Dy 0.000 0.000 0.500
4 O 0.634 0.643 0.860
5 O 0.991 0.357 0.360
6 O 0.009 0.366 0.860
7 O 0.357 0.991 0.860
8 O 0.991 0.634 0.140
9 Te 0.333 0.667 0.750
10 Dy 0.000 0.000 0.000
11 O 0.009 0.643 0.640
12 O 0.643 0.009 0.140
13 O 0.366 0.009 0.360
14 Te 0.667 0.333 0.250
15 Cr 0.333 0.667 0.250
16 O 0.634 0.991 0.640
17 O 0.643 0.634 0.360
18 Cr 0.667 0.333 0.750

Output
SG: P-31c (163)

---

Here are the calculated density numbers, same order: 3.5; 4.1; 5.8; 5.9; 8.0; 6.6 (g/cm3).
Here are the calculated spin magnetization numbers, same order: 5.0; 19.4; 0.9; 1.0; 3.0; 3.0 (μB per formula unit).
Here are the calculated calculated formation energy numbers, same order: -1085; -873; -2349; -2848; -3240; -2390 (meV/atom).